(1)
91
Lattice="5.465 3.155 12.783 -5.465 3.155 12.783 0.000 -6.310 12.783" Properties=species:S:1:pos:R:3 comment="Ca3As2O8 (PBE, optimized geometry)" space_group=R3 total_energy_ev_per_atom=-6.505 total_magnetization_mub_per_fu=0.0 delta_e_f_ev_per_atom=-2.70 pbc="T T T"
Ca 0.000 0.000 0.000
Ca -2.069 -1.347 12.411
Ca 0.003 -3.698 10.143
Ca -3.205 1.846 10.143
Ca -2.242 -1.308 16.515
Ca -3.056 -2.012 28.134
Ca -2.416 1.197 21.661
Ca 0.172 -2.690 21.661
Ca -0.132 2.465 12.411
Ca 2.201 -1.118 12.411
Ca 0.000 0.000 19.141
Ca -2.473 -1.139 31.763
Ca -0.011 2.596 16.515
Ca 2.253 -1.288 16.515
Ca 3.201 1.852 10.143
Ca 0.000 0.000 26.498
Ca 2.244 1.494 21.661
Ca -0.215 3.652 28.134
Ca 3.270 -1.640 28.134
Ca 2.222 -1.572 31.763
Ca 0.250 2.711 31.763
As -2.743 1.294 13.995
As -2.731 -1.857 20.381
As 0.251 -3.022 13.995
As 0.000 0.000 10.196
As -3.007 1.518 17.899
As 0.189 -3.364 17.899
As -2.347 -1.596 24.299
As -0.243 3.294 20.382
As 2.492 1.728 13.995
As 2.974 -1.437 20.382
As -0.208 2.831 24.299
As 0.000 0.000 29.438
As 2.556 -1.235 24.299
As 2.819 1.845 17.899
O -3.066 -0.348 14.388
O -4.031 0.428 17.006
O -1.662 -0.057 9.749
O -3.055 -1.814 18.699
O -4.128 2.223 14.437
O -4.082 -1.137 21.149
O -1.255 -4.159 17.438
O -2.393 -3.486 20.816
O 0.139 -4.686 14.437
O -3.954 -2.225 24.123
O -1.093 -2.245 14.705
O -2.424 1.303 12.309
O 0.084 -2.750 12.309
O -3.487 1.256 19.521
O 0.880 -1.411 9.749
O 0.000 0.000 11.940
O -1.441 -2.785 23.426
O -2.974 3.166 17.438
O -1.398 2.069 14.705
O -0.032 -1.677 17.550
O -1.342 -0.934 20.814
O -1.436 0.866 17.550
O 0.656 -3.647 19.521
O 1.644 -3.705 17.006
O 0.782 1.468 9.749
O -2.345 0.032 23.791
O 1.834 -2.481 14.388
O -1.668 -1.641 25.901
O -1.822 3.816 20.816
O -1.692 2.640 23.426
O -0.771 -1.376 28.705
O 2.340 1.448 12.309
O -0.138 1.629 20.814
O 1.145 -2.047 23.791
O 2.491 0.176 14.705
O 1.468 0.810 17.550
O 1.232 2.829 14.388
O 1.480 -0.695 20.814
O -0.044 3.553 18.699
O 3.026 -2.967 21.149
O 3.099 -1.739 18.699
O -0.587 2.265 25.901
O -0.806 1.356 28.705
O 0.000 0.000 31.135
O 2.386 3.277 17.006
O 1.200 2.015 23.791
O 2.255 -0.624 25.901
O 3.904 -2.312 24.123
O 1.056 4.104 21.149
O 3.989 2.464 14.437
O 0.050 4.537 24.123
O 4.229 0.993 17.438
O 2.831 2.392 19.521
O 1.577 0.021 28.705
O 3.133 0.145 23.426
O 4.216 -0.330 20.816

(2)
16
Lattice="3.350 -6.825 0.000 3.350 6.825 0.000 -3.315 0.000 4.921" Properties=species:S:1:pos:R:3 comment="CaAsO6 (PBE, optimized geometry)" space_group=Cc total_energy_ev_per_atom=-5.449 total_magnetization_mub_per_fu=3.0 delta_e_f_ev_per_atom=-1.03 pbc="T T T"
Ca 1.692 5.597 2.460
Ca 3.350 -5.597 0.000
As 3.107 1.251 0.218
As 1.449 -1.251 2.679
O 2.471 4.281 0.489
O -1.206 0.263 4.195
O 0.609 3.731 4.083
O 2.031 2.231 1.085
O 0.452 -0.263 1.734
O 0.784 2.420 3.897
O 0.373 -2.231 3.546
O 2.442 -2.420 1.437
O 4.502 0.491 0.816
O 0.813 -4.281 2.950
O 2.267 -3.731 1.622
O 2.844 -0.491 3.277